The following is a GGA+U calculation of a relaxed structure of Na2MgFe4O7, from the Materials Project.

Cell: 5.621 5.648 5.919 Å, 91.78 92.63 117.74°
Space group P1 (No. 1)
Unique sites:
Na 0.000 0.000 0.000 [1 per cell]
Na 0.465 0.534 0.999 [1 per cell]
Mg 0.531 0.067 0.889 [1 per cell]
Fe 0.161 0.689 0.631 [1 per cell]
Fe 0.522 0.388 0.476 [1 per cell]
Fe 0.858 0.056 0.478 [1 per cell]
Fe 0.999 0.533 0.201 [1 per cell]
O 0.186 0.325 0.302 [1 per cell]
O 0.210 0.745 0.976 [1 per cell]
O 0.242 0.118 0.677 [1 per cell]
O 0.578 0.778 0.675 [1 per cell]
O 0.649 0.184 0.227 [1 per cell]
O 0.794 0.720 0.307 [1 per cell]
O 0.801 0.333 0.674 [1 per cell]

Calculated values
Formation energy from the elements ... -1622 meV per atom
Calculated total energy ... -0.4285 Ry per atom